(1)
{"formula": "La10Os2I15", "functional": "r²SCAN", "state": "relaxed", "sg": "P-1 (2)", "formation_energy_kcal_per_mol_atoms": -34.8, "vol_a3_per_atom": 42.0, "lattice_angstrom": [[10.099, 0.000, 0.000], [-3.916, 10.507, 0.000], [-4.889, -2.149, 10.691]], "species": ["La", "La", "La", "La", "La", "La", "La", "La", "La", "La", "Os", "Os", "I", "I", "I", "I", "I", "I", "I", "I", "I", "I", "I", "I", "I", "I", "I"], "fractional_positions": [[0.023, 0.204, 0.093], [0.087, 0.548, 0.330], [0.165, 0.251, 0.822], [0.224, 0.583, 0.053], [0.302, 0.908, 0.277], [0.698, 0.092, 0.723], [0.776, 0.417, 0.947], [0.835, 0.749, 0.178], [0.913, 0.452, 0.670], [0.977, 0.796, 0.907], [0.034, 0.677, 0.122], [0.966, 0.323, 0.878], [0.091, 0.039, 0.340], [0.146, 0.385, 0.580], [0.211, 0.737, 0.815], [0.269, 0.089, 0.055], [0.340, 0.443, 0.300], [0.391, 0.799, 0.534], [0.433, 0.154, 0.772], [0.500, 0.500, 0.000], [0.567, 0.846, 0.228], [0.609, 0.201, 0.466], [0.660, 0.557, 0.700], [0.731, 0.911, 0.945], [0.789, 0.263, 0.185], [0.854, 0.615, 0.420], [0.909, 0.961, 0.660]]}

***

(2)
{"formula": "MgHg5", "functional": "r²SCAN", "state": "relaxed", "sg": "Amm2 (38)", "formation_energy_kcal_per_mol_atoms": -0.4, "vol_a3_per_atom": 23.7, "lattice_angstrom": [[5.274, 0.000, 0.000], [0.000, 1.753, 7.695], [0.000, -1.753, 7.695]], "species": ["Mg", "Hg", "Hg", "Hg", "Hg", "Hg"], "fractional_positions": [[0.000, 0.000, 0.000], [0.000, 0.337, 0.337], [0.000, 0.659, 0.659], [0.500, 0.111, 0.111], [0.500, 0.447, 0.447], [0.500, 0.777, 0.777]]}